Compound: SrMg6SnO8
Source: the Materials Project database
Functional: PBE-GGA
Structure: optimized geometry

Properties
Formation energy from the elements (eV/atom): -2.511
Total magnetization (μB per atom): 0.00

Cell lengths 4.614, 4.614, 9.165 Å; angles 90.00, 90.00, 90.00 degrees
Space group P4/mmm (No. 123)
Symmetry-distinct sites (fractional):
Sr 0.000 0.000 0.000 [1 per cell]
Mg 0.000 0.500 0.250 [4 per cell]
Mg 0.500 0.500 0.000 [1 per cell]
Mg 0.500 0.500 0.500 [1 per cell]
Sn 0.000 0.000 0.500 [1 per cell]
O 0.000 0.000 0.254 [2 per cell]
O 0.000 0.500 0.000 [2 per cell]
O 0.000 0.500 0.500 [2 per cell]
O 0.500 0.500 0.251 [2 per cell]